1.
Here is an optimized crystal structure of Sn4P2O9 from the Materials Project. Energies are from PBE.

Calculated values
Total energy: -6.5528 eV per atom
E_form: -2.205 eV/atom
Total magnetic moment: 0.009 Bohr magnetons per cell
Corrected total energy (MP2020 scheme): -417.90 eV/cell
ΔE to the lowest computed polymorph: 0.000 eV/atom

abc: 9.701 7.524 14.926
angles: 69.34 90.00 90.00
Element x y z (fractional)
P: 0.339 0.408 0.353
P: 0.427 0.074 0.160
P: 0.927 0.926 0.340
P: 0.073 0.074 0.660
P: 0.839 0.592 0.147
P: 0.161 0.408 0.853
P: 0.661 0.592 0.647
P: 0.573 0.926 0.840
O: 0.611 0.802 0.624
O: 0.076 0.537 0.768
O: 0.924 0.463 0.232
O: 0.313 0.982 0.239
O: 0.316 0.425 0.829
O: 0.539 0.886 0.386
O: 0.184 0.425 0.329
O: 0.156 0.193 0.569
O: 0.477 0.795 0.808
O: 0.628 0.529 0.561
O: 0.961 0.886 0.886
O: 0.515 0.921 0.140
O: 0.844 0.807 0.431
O: 0.111 0.198 0.876
O: 0.813 0.018 0.261
O: 0.889 0.802 0.124
O: 0.015 0.079 0.360
O: 0.461 0.114 0.614
O: 0.187 0.982 0.739
O: 0.523 0.205 0.192
O: 0.128 0.471 0.939
O: 0.687 0.018 0.761
O: 0.977 0.205 0.692
O: 0.485 0.079 0.860
O: 0.872 0.529 0.061
O: 0.344 0.193 0.069
O: 0.985 0.921 0.640
O: 0.684 0.575 0.171
O: 0.576 0.463 0.732
O: 0.424 0.537 0.268
O: 0.372 0.471 0.439
O: 0.656 0.807 0.931
O: 0.039 0.114 0.114
O: 0.389 0.198 0.376
O: 0.023 0.795 0.308
O: 0.816 0.575 0.671
Sn: 0.838 0.644 0.906
Sn: 0.162 0.356 0.094
Sn: 0.480 0.653 0.117
Sn: 0.338 0.356 0.594
Sn: 0.679 0.099 0.604
Sn: 0.821 0.099 0.104
Sn: 0.662 0.644 0.406
Sn: 0.621 0.168 0.328
Sn: 0.179 0.901 0.896
Sn: 0.121 0.832 0.172
Sn: 0.321 0.901 0.396
Sn: 0.879 0.168 0.828
Sn: 0.980 0.347 0.383
Sn: 0.020 0.653 0.617
Sn: 0.379 0.832 0.672
Sn: 0.520 0.347 0.883

***

2.
Here is an optimized crystal structure of Sn4P3O12 from the Materials Project. Energies are from PBE.

Calculated values
Total energy: -6.6308 eV per atom
E_form: -2.241 eV/atom
Total magnetic moment: 1.999 Bohr magnetons per cell
Corrected total energy (MP2020 scheme): -268.46 eV/cell
ΔE to the lowest computed polymorph: 0.002 eV/atom

abc: 9.712 9.712 6.957
angles: 90.00 90.00 120.00
Element x y z (fractional)
O: 0.916 0.276 0.574
O: 0.408 0.901 0.252
O: 0.269 0.346 0.429
O: 0.901 0.493 0.752
O: 0.510 0.673 0.753
O: 0.276 0.360 0.074
O: 0.493 0.592 0.252
O: 0.592 0.099 0.752
O: 0.673 0.163 0.253
O: 0.490 0.327 0.253
O: 0.654 0.923 0.429
O: 0.724 0.640 0.574
O: 0.163 0.490 0.753
O: 0.507 0.408 0.752
O: 0.077 0.731 0.429
O: 0.923 0.269 0.929
O: 0.346 0.077 0.929
O: 0.084 0.724 0.074
O: 0.099 0.507 0.252
O: 0.640 0.916 0.074
O: 0.327 0.837 0.753
O: 0.731 0.654 0.929
O: 0.360 0.084 0.574
O: 0.837 0.510 0.253
P: 0.022 0.614 0.256
P: 0.386 0.408 0.256
P: 0.592 0.978 0.256
P: 0.408 0.022 0.756
P: 0.614 0.592 0.756
P: 0.978 0.386 0.756
Sn: 0.762 0.020 0.745
Sn: 0.742 0.762 0.245
Sn: 0.238 0.980 0.245
Sn: 0.258 0.238 0.745
Sn: 0.667 0.333 0.437
Sn: 0.020 0.258 0.245
Sn: 0.333 0.667 0.937
Sn: 0.980 0.742 0.745

***

3.
Here is an optimized crystal structure of Sn2P3O10 from the Materials Project. Energies are from PBE.

Calculated values
Total energy: -6.7363 eV per atom
E_form: -2.278 eV/atom
Total magnetic moment: 2.004 Bohr magnetons per cell
Corrected total energy (MP2020 scheme): -215.83 eV/cell
ΔE to the lowest computed polymorph: 0.084 eV/atom

abc: 7.869 7.869 9.605
angles: 68.47 68.47 80.49
Element x y z (fractional)
O: 0.416 0.082 0.788
O: 0.428 0.219 0.257
O: 0.213 0.564 0.482
O: 0.904 0.860 0.848
O: 0.816 0.219 0.368
O: 0.436 0.787 0.018
O: 0.781 0.184 0.132
O: 0.219 0.816 0.868
O: 0.140 0.096 0.652
O: 0.219 0.428 0.757
O: 0.918 0.584 0.712
O: 0.781 0.572 0.243
O: 0.082 0.416 0.288
O: 0.564 0.213 0.982
O: 0.184 0.781 0.632
O: 0.572 0.781 0.743
O: 0.096 0.140 0.152
O: 0.860 0.904 0.348
O: 0.787 0.436 0.518
O: 0.584 0.918 0.212
P: 0.127 0.581 0.648
P: 0.873 0.419 0.352
P: 0.103 0.897 0.750
P: 0.897 0.103 0.250
P: 0.581 0.127 0.148
P: 0.419 0.873 0.852
Sn: 0.642 0.721 0.416
Sn: 0.279 0.358 0.084
Sn: 0.358 0.279 0.584
Sn: 0.721 0.642 0.916

***

4.
Here is an optimized crystal structure of SnP2O7 from the Materials Project. Energies are from PBE.

Calculated values
Total energy: -6.8827 eV per atom
E_form: -2.416 eV/atom
Total magnetic moment: 0.000 Bohr magnetons per cell
Corrected total energy (MP2020 scheme): -147.27 eV/cell
ΔE to the lowest computed polymorph: 0.111 eV/atom

abc: 6.473 6.536 7.032
angles: 88.39 114.01 95.12
Element x y z (fractional)
O: 0.310 0.792 0.486
O: 0.235 0.411 0.526
O: 0.948 0.332 0.880
O: 0.690 0.208 0.514
O: 0.765 0.589 0.474
O: 0.052 0.668 0.120
O: 0.070 0.034 0.238
O: 0.930 0.966 0.762
O: 0.222 0.660 0.790
O: 0.592 0.607 0.790
O: 0.408 0.393 0.210
O: 0.414 0.911 0.181
O: 0.778 0.340 0.210
O: 0.586 0.089 0.819
P: 0.661 0.387 0.350
P: 0.773 0.136 0.753
P: 0.339 0.613 0.650
P: 0.227 0.864 0.247
Sn: 0.905 0.657 0.784
Sn: 0.095 0.343 0.216

***

5.
Here is an optimized crystal structure of SnP2O6 from the Materials Project. Energies are from PBE.

Calculated values
Total energy: -6.9175 eV per atom
E_form: -2.428 eV/atom
Total magnetic moment: 0.000 Bohr magnetons per cell
Corrected total energy (MP2020 scheme): -531.04 eV/cell
ΔE to the lowest computed polymorph: 0.003 eV/atom

abc: 8.029 7.336 17.529
angles: 88.75 90.00 90.00
Element x y z (fractional)
O: 0.179 0.688 0.042
O: 0.592 0.798 0.266
O: 0.103 0.207 0.381
O: 0.336 0.091 0.465
O: 0.897 0.793 0.619
O: 0.444 0.573 0.807
O: 0.670 0.153 0.818
O: 0.603 0.793 0.119
O: 0.161 0.254 0.613
O: 0.244 0.423 0.959
O: 0.836 0.909 0.035
O: 0.839 0.746 0.387
O: 0.365 0.735 0.930
O: 0.594 0.720 0.656
O: 0.664 0.909 0.535
O: 0.094 0.280 0.844
O: 0.635 0.265 0.070
O: 0.065 0.915 0.310
O: 0.565 0.085 0.190
O: 0.830 0.153 0.318
O: 0.947 0.327 0.095
O: 0.906 0.720 0.156
O: 0.447 0.673 0.405
O: 0.056 0.573 0.307
O: 0.744 0.577 0.541
O: 0.865 0.265 0.570
O: 0.321 0.688 0.542
O: 0.661 0.746 0.887
O: 0.339 0.254 0.113
O: 0.935 0.085 0.690
O: 0.397 0.207 0.881
O: 0.408 0.202 0.734
O: 0.556 0.427 0.193
O: 0.256 0.423 0.459
O: 0.330 0.847 0.182
O: 0.553 0.327 0.595
O: 0.908 0.798 0.766
O: 0.135 0.735 0.430
O: 0.406 0.280 0.344
O: 0.944 0.427 0.693
O: 0.435 0.915 0.810
O: 0.092 0.202 0.234
O: 0.164 0.091 0.965
O: 0.679 0.312 0.458
O: 0.821 0.312 0.958
O: 0.170 0.847 0.682
O: 0.053 0.673 0.905
O: 0.756 0.577 0.041
Sn: 0.373 0.029 0.602
Sn: 0.627 0.971 0.398
Sn: 0.859 0.480 0.825
Sn: 0.873 0.971 0.898
Sn: 0.359 0.520 0.675
Sn: 0.141 0.520 0.175
Sn: 0.127 0.029 0.102
Sn: 0.641 0.480 0.325
P: 0.014 0.732 0.356
P: 0.014 0.129 0.306
P: 0.303 0.636 0.459
P: 0.514 0.268 0.144
P: 0.514 0.871 0.194
P: 0.711 0.756 0.590
P: 0.486 0.129 0.806
P: 0.803 0.364 0.041
P: 0.486 0.732 0.856
P: 0.789 0.756 0.090
P: 0.197 0.636 0.959
P: 0.697 0.364 0.541
P: 0.211 0.244 0.910
P: 0.986 0.871 0.694
P: 0.986 0.268 0.644
P: 0.289 0.244 0.410

***

6.
Here is an optimized crystal structure of SnP2O7 from the Materials Project. Energies are from PBE.

Calculated values
Total energy: -6.9895 eV per atom
E_form: -2.523 eV/atom
Corrected total energy (MP2020 scheme): -298.82 eV/cell
ΔE to the lowest computed polymorph: 0.004 eV/atom

abc: 5.245 8.421 13.744
angles: 70.85 90.00 90.00
Element x y z (fractional)
O: 0.544 0.720 0.488
O: 0.973 0.742 0.232
O: 0.262 0.007 0.694
O: 0.085 0.759 0.431
O: 0.447 0.719 0.269
O: 0.216 0.823 0.586
O: 0.205 0.521 0.596
O: 0.027 0.258 0.768
O: 0.738 0.993 0.306
O: 0.053 0.719 0.769
O: 0.284 0.823 0.086
O: 0.956 0.720 0.988
O: 0.044 0.280 0.012
O: 0.295 0.521 0.096
O: 0.473 0.258 0.268
O: 0.947 0.281 0.231
O: 0.705 0.479 0.904
O: 0.585 0.241 0.069
O: 0.456 0.280 0.512
O: 0.553 0.281 0.731
O: 0.915 0.241 0.569
O: 0.795 0.479 0.404
O: 0.762 0.993 0.806
O: 0.784 0.177 0.414
O: 0.238 0.007 0.194
O: 0.415 0.759 0.931
O: 0.527 0.742 0.732
O: 0.716 0.177 0.914
Sn: 0.253 0.264 0.143
Sn: 0.747 0.736 0.857
Sn: 0.753 0.736 0.357
Sn: 0.247 0.264 0.643
P: 0.265 0.824 0.701
P: 0.735 0.176 0.299
P: 0.235 0.824 0.201
P: 0.735 0.304 0.477
P: 0.765 0.304 0.977
P: 0.235 0.696 0.023
P: 0.265 0.696 0.523
P: 0.765 0.176 0.799

***

7.
Here is an optimized crystal structure of Sn2P2O7 from the Materials Project. Energies are from PBE.

Calculated values
Total energy: -6.7820 eV per atom
E_form: -2.357 eV/atom
Corrected total energy (MP2020 scheme): -158.82 eV/cell
ΔE to the lowest computed polymorph: 0.012 eV/atom

abc: 9.744 5.472 7.698
angles: 63.63 90.00 90.00
Element x y z (fractional)
P: 0.892 0.101 0.111
P: 0.608 0.101 0.611
P: 0.392 0.899 0.389
P: 0.108 0.899 0.889
Sn: 0.381 0.356 0.848
Sn: 0.619 0.644 0.152
Sn: 0.119 0.356 0.348
Sn: 0.881 0.644 0.652
O: 0.500 0.000 0.500
O: 0.341 0.618 0.535
O: 0.469 0.893 0.216
O: 0.220 0.115 0.809
O: 0.531 0.107 0.784
O: 0.280 0.115 0.309
O: 0.000 0.000 0.000
O: 0.969 0.107 0.284
O: 0.659 0.382 0.465
O: 0.841 0.382 0.965
O: 0.780 0.885 0.191
O: 0.031 0.893 0.716
O: 0.159 0.618 0.035
O: 0.720 0.885 0.691

***

8.
Here is an optimized crystal structure of Sn4P2O9 from the Materials Project. Energies are from PBE.

Calculated values
Total energy: -6.4708 eV per atom
E_form: -2.123 eV/atom
Total magnetic moment: 0.000 Bohr magnetons per cell
Corrected total energy (MP2020 scheme): -412.98 eV/cell
ΔE to the lowest computed polymorph: 0.082 eV/atom

abc: 7.253 9.730 13.699
angles: 90.00 90.00 90.00
Element x y z (fractional)
O: 0.750 0.107 0.936
O: 0.928 0.368 0.871
O: 0.750 0.564 0.951
O: 0.750 0.043 0.731
O: 0.928 0.868 0.629
O: 0.750 0.298 0.438
O: 0.250 0.957 0.269
O: 0.072 0.132 0.371
O: 0.072 0.632 0.129
O: 0.428 0.632 0.129
O: 0.428 0.132 0.371
O: 0.250 0.393 0.436
O: 0.072 0.915 0.906
O: 0.572 0.585 0.406
O: 0.072 0.415 0.594
O: 0.572 0.368 0.871
O: 0.250 0.893 0.064
O: 0.250 0.695 0.937
O: 0.750 0.805 0.437
O: 0.250 0.195 0.563
O: 0.250 0.436 0.049
O: 0.750 0.064 0.549
O: 0.428 0.415 0.594
O: 0.750 0.798 0.062
O: 0.750 0.543 0.769
O: 0.750 0.607 0.564
O: 0.250 0.202 0.938
O: 0.928 0.085 0.094
O: 0.250 0.702 0.562
O: 0.428 0.915 0.906
O: 0.750 0.305 0.063
O: 0.928 0.585 0.406
O: 0.250 0.457 0.231
O: 0.572 0.868 0.629
O: 0.572 0.085 0.094
O: 0.250 0.936 0.451
Sn: 0.750 0.534 0.110
Sn: 0.250 0.192 0.091
Sn: 0.015 0.635 0.664
Sn: 0.985 0.365 0.336
Sn: 0.750 0.034 0.390
Sn: 0.515 0.365 0.336
Sn: 0.250 0.966 0.610
Sn: 0.015 0.135 0.836
Sn: 0.750 0.808 0.909
Sn: 0.485 0.635 0.664
Sn: 0.750 0.308 0.591
Sn: 0.515 0.865 0.164
Sn: 0.250 0.466 0.890
Sn: 0.485 0.135 0.836
Sn: 0.985 0.865 0.164
Sn: 0.250 0.692 0.409
P: 0.750 0.650 0.450
P: 0.250 0.044 0.363
P: 0.750 0.956 0.637
P: 0.250 0.850 0.950
P: 0.250 0.544 0.137
P: 0.750 0.456 0.863
P: 0.250 0.350 0.550
P: 0.750 0.150 0.050